Entry from the Materials Project database: a relaxed structure of MgSi (PBE).

Summary:
energy of formation from the pure elements = 0.031 eV per atom

Cell: 4.3880 5.8693 6.1665 Å, 90.00 108.08 90.00°
With the nearest neighbours (Å) after each atom.
Positions (direct):
Mg1 0.0905 0.2500 0.1338  6 Si 2.81-2.97
Mg2 0.2288 0.7500 0.4348  6 Si 2.76-2.87
Mg3 0.7712 0.2500 0.5652  6 Si 2.76-2.87
Mg4 0.9095 0.7500 0.8662  6 Si 2.81-2.97
Si1 0.3782 0.0455 0.8013  2 Si 2.40-2.41
Si2 0.3782 0.4545 0.8013  2 Si 2.40-2.41
Si3 0.6218 0.5455 0.1987  2 Si 2.40-2.41
Si4 0.6218 0.9545 0.1987  2 Si 2.40-2.41

Entry from the Materials Project database: a relaxed structure of ZnGa2S4 (PBE).

Summary:
energy of formation from the pure elements = -1.010 eV per atom

Cell: 5.2426 5.2426 5.4555 Å, 90.00 90.00 90.00°
With the nearest neighbours (Å) after each atom.
Positions (direct):
Zn1 0.0000 0.0000 0.0000  4 S 2.36
Ga1 0.0000 0.5000 0.5000  4 S 2.32
Ga2 0.5000 0.0000 0.5000  4 S 2.32
S1 0.2622 0.2622 0.2452  2 Ga 2.32, 1 Zn 2.36
S2 0.2622 0.7378 0.7548  2 Ga 2.32, 1 Zn 2.36
S3 0.7378 0.2622 0.7548  2 Ga 2.32, 1 Zn 2.36
S4 0.7378 0.7378 0.2452  2 Ga 2.32, 1 Zn 2.36

Entry from the Materials Project database: a relaxed structure of AlSi2O6 (PBE).

Summary:
energy of formation from the pure elements = -3.013 eV per atom

Cell: 9.5635 9.5791 9.7138 Å, 94.48 95.05 94.63°
With the nearest neighbours (Å) after each atom.
Positions (direct):
Al1 0.0000 0.0000 0.0000  4 O 1.74-1.75
Al2 0.0190 0.7825 0.5524  4 O 1.73-1.76
Al3 0.2393 0.5314 0.2292  4 O 1.74-1.76
Al4 0.4603 0.7683 0.7675  4 O 1.74-1.75
Si1 0.0171 0.3302 0.0077  4 O 1.61-1.64
Si2 0.2304 0.0021 0.7662  4 O 1.61-1.64
Si3 0.2484 0.3278 0.7910  4 O 1.62-1.63
Si4 0.2491 0.5447 0.5582  4 O 1.62-1.64
Si5 0.4642 0.5330 0.9958  4 O 1.61-1.65
Si6 0.7892 0.5548 0.0086  4 O 1.62-1.63
Si7 0.7900 0.7796 0.7840  4 O 1.61-1.64
Si8 0.9966 0.7607 0.2216  4 O 1.61-1.65
O1 0.0184 0.9011 0.1419  1 Si 1.61, 1 Al 1.74
O2 0.1050 0.3322 0.8699  2 Si 1.63-1.64
O3 0.1109 0.6319 0.5567  1 Si 1.62, 1 Al 1.75
O4 0.1182 0.4003 0.1420  1 Si 1.62, 1 Al 1.75
O5 0.1280 0.9274 0.6332  1 Si 1.63, 1 Al 1.76
O6 0.1390 0.6776 0.2255  1 Si 1.63, 1 Al 1.76
O7 0.1458 0.9992 0.9034  1 Si 1.62, 1 Al 1.75
O8 0.2281 0.4114 0.6525  2 Si 1.62-1.64
O9 0.2753 0.4926 0.4009  1 Si 1.62, 1 Al 1.75
O10 0.2757 0.1668 0.7418  2 Si 1.63-1.64
O11 0.3695 0.9183 0.7822  1 Si 1.61, 1 Al 1.74
O12 0.3797 0.6521 0.6298  1 Si 1.62, 1 Al 1.75
O13 0.3848 0.3987 0.8930  2 Si 1.63-1.65
O14 0.3864 0.5500 0.1363  1 Si 1.61, 1 Al 1.74
O15 0.4600 0.6731 0.9137  1 Si 1.61, 1 Al 1.75
O16 0.6289 0.4997 0.0339  2 Si 1.63-1.65
O17 0.6329 0.8126 0.7320  1 Si 1.61, 1 Al 1.74
O18 0.7877 0.6392 0.8701  2 Si 1.62-1.64
O19 0.8629 0.6563 0.1429  2 Si 1.63-1.65
O20 0.8640 0.9129 0.8853  1 Si 1.62, 1 Al 1.75
O21 0.8804 0.7554 0.6536  1 Si 1.61, 1 Al 1.73
O22 0.8822 0.4221 0.9827  2 Si 1.63
O23 0.9627 0.1730 0.0378  1 Si 1.61, 1 Al 1.74
O24 0.9637 0.8005 0.3800  1 Si 1.62, 1 Al 1.74

Entry from the Materials Project database: a relaxed structure of PrTlSe2 (PBE).

Summary:
energy of formation from the pure elements = -1.607 eV per atom

Cell: 8.1575 8.1575 8.1575 Å, 30.97 30.97 30.97°
With the nearest neighbours (Å) after each atom.
Positions (direct):
Pr1 0.0000 0.0000 0.0000  6 Se 3.00
Tl1 0.5000 0.5000 0.5000  6 Se 3.37
Se1 0.2629 0.2629 0.2629  3 Pr 3.00
Se2 0.7371 0.7371 0.7371  3 Pr 3.00

Entry from the Materials Project database: a relaxed structure of MgTi2Si2Ag4O10 (PBE).

Summary:
energy of formation from the pure elements = -2.086 eV per atom

Cell: 6.4608 6.4608 6.3113 Å, 90.00 90.00 90.00°
With the nearest neighbours (Å) after each atom.
Positions (direct):
Mg1 0.0000 0.0000 0.0000  1 O 2.01
Ti1 0.0000 0.0000 0.4014  1 O 1.77
Ti2 0.5000 0.5000 0.4406  1 O 1.73
Si1 0.0000 0.5000 0.3923  4 O 1.64-1.67
Si2 0.5000 0.0000 0.3923  4 O 1.64-1.67
Ag1 0.2825 0.2825 0.8685  4 O 2.54-2.84, 1 Mg 2.71, 2 Ag 2.81
Ag2 0.2825 0.7175 0.8685  4 O 2.54-2.84, 1 Mg 2.71, 2 Ag 2.81
Ag3 0.7175 0.2825 0.8685  4 O 2.54-2.84, 1 Mg 2.71, 2 Ag 2.81
Ag4 0.7175 0.7175 0.8685  4 O 2.54-2.84, 1 Mg 2.71, 2 Ag 2.81
O1 0.0000 0.0000 0.6817  1 Ti 1.77
O2 0.0000 0.2780 0.2580  1 Si 1.67
O3 0.0000 0.7220 0.2580  1 Si 1.67
O4 0.2086 0.5000 0.5418  1 Si 1.64
O5 0.2780 0.0000 0.2580  1 Si 1.67
O6 0.5000 0.2086 0.5418  1 Si 1.64
O7 0.5000 0.5000 0.1669  1 Ti 1.73
O8 0.5000 0.7914 0.5418  1 Si 1.64
O9 0.7220 0.0000 0.2580  1 Si 1.67
O10 0.7914 0.5000 0.5418  1 Si 1.64

Entry from the Materials Project database: a relaxed structure of AsCl2F3 (PBE).

Summary:
energy of formation from the pure elements = -1.681 eV per atom

Cell: 8.9453 8.9453 6.4301 Å, 90.00 90.00 90.00°
With the nearest neighbours (Å) after each atom.
Positions (direct):
As1 0.2500 0.2500 0.1752  6 F 1.76-1.79
As2 0.2500 0.7500 0.5000  4 Cl 2.10
As3 0.7500 0.2500 0.5000  4 Cl 2.10
As4 0.7500 0.7500 0.8248  6 F 1.76-1.79
Cl1 0.0640 0.7133 0.3087  1 As 2.10
Cl2 0.2133 0.9360 0.6913  1 As 2.10
Cl3 0.2867 0.5640 0.6913  1 As 2.10
Cl4 0.4360 0.7867 0.3087  1 As 2.10
Cl5 0.5640 0.2133 0.6913  1 As 2.10
Cl6 0.7133 0.4360 0.3087  1 As 2.10
Cl7 0.7867 0.0640 0.3087  1 As 2.10
Cl8 0.9360 0.2867 0.6913  1 As 2.10
F1 0.0633 0.3184 0.1732  1 As 1.78
F2 0.1816 0.0633 0.1732  1 As 1.78
F3 0.2500 0.2500 0.4497  1 As 1.76
F4 0.2500 0.2500 0.8975  1 As 1.79
F5 0.3184 0.4367 0.1732  1 As 1.78
F6 0.4367 0.1816 0.1732  1 As 1.78
F7 0.5633 0.8184 0.8268  1 As 1.78
F8 0.6816 0.5633 0.8268  1 As 1.78
F9 0.7500 0.7500 0.1025  1 As 1.79
F10 0.7500 0.7500 0.5503  1 As 1.76
F11 0.8184 0.9367 0.8268  1 As 1.78
F12 0.9367 0.6816 0.8268  1 As 1.78

Entry from the Materials Project database: a relaxed structure of Na14Mg5Zr3Si6S6O48 (PBE).

Summary:
energy of formation from the pure elements = -2.633 eV per atom

Cell: 9.1652 15.8833 22.4963 Å, 90.27 90.03 90.20°
With the nearest neighbours (Å) after each atom.
Positions (direct):
Na1 0.0000 0.0000 0.0000  3 O 2.35-2.60
Na2 0.0012 0.6752 0.6608  5 O 2.43-2.62
Na3 0.0367 0.3314 0.3358  6 O 2.39-2.66
Na4 0.1449 0.1781 0.9238  3 O 2.37-2.47
Na5 0.1458 0.8334 0.5885  6 O 2.46-2.68
Na6 0.1474 0.4815 0.7566  3 O 2.30-2.55
Na7 0.1575 0.4933 0.2535  5 O 2.40-2.68
Na8 0.1588 0.8074 0.0898  3 O 2.42-2.45
Na9 0.1667 0.1706 0.4264  3 O 2.30-2.50
Na10 0.2641 0.3300 0.8362  6 O 2.40-2.65
Na11 0.3161 0.3029 0.5065  4 O 2.35-2.60
Na12 0.3294 0.9765 0.1736  5 O 2.31-2.56
Na13 0.3334 0.3488 0.1789  5 O 2.46-2.71
Na14 0.3347 0.6801 0.5062  4 O 2.36-2.56
Na15 0.3392 0.0077 0.8300  5 O 2.40-2.60
Na16 0.3411 0.6485 0.8468  5 O 2.34-2.61
Na17 0.4608 0.5018 0.3279  4 O 2.35-2.60
Na18 0.4622 0.1518 0.3463  5 O 2.39-2.66
Na19 0.4691 0.4743 0.6728  3 O 2.29-2.48
Na20 0.4792 0.8428 0.6764  7 O 2.52-2.81
Na21 0.4842 0.8015 0.0059  4 O 2.39-2.51
Na22 0.5078 0.5023 0.0115  4 O 2.37-2.56
Na23 0.5180 0.1765 0.6630  3 O 2.42-2.56
Na24 0.5314 0.8359 0.3455  5 O 2.36-2.62
Na25 0.6454 0.3308 0.0917  5 O 2.39-2.66
Na26 0.6475 0.6732 0.9270  4 O 2.35-2.60
Na27 0.6511 0.9876 0.2572  3 O 2.31-2.54
Na28 0.6548 0.3223 0.5923  3 O 2.35-2.63
Na29 0.6572 0.9924 0.7528  6 O 2.46-2.70
Na30 0.6805 0.6664 0.4253  1 O 2.25
Na31 0.7623 0.8316 0.8357  6 O 2.40-2.67
Na32 0.7963 0.1762 0.1619  2 O 2.33-2.59
Na33 0.8145 0.8057 0.5061  4 O 2.40-2.63
Na34 0.8208 0.4722 0.1651  4 O 2.42-2.63
Na35 0.8254 0.8407 0.1743  6 O 2.52-2.81
Na36 0.8362 0.5033 0.8333  4 O 2.38-2.65
Na37 0.8398 0.1819 0.5175  5 O 2.36-2.63
Na38 0.8437 0.1501 0.8338  5 O 2.40-2.62
Na39 0.9610 0.0076 0.3340  4 O 2.40-2.58
Na40 0.9630 0.9858 0.6752  6 O 2.48-2.73
Na41 0.9718 0.3294 0.6756  2 O 2.41-2.55
Na42 0.9830 0.3078 0.0066  4 O 2.43-2.55
Mg1 0.1307 0.1783 0.7646  3 O 1.95-2.05
Mg2 0.1409 0.4918 0.4028  3 O 1.94-2.13
Mg3 0.1415 0.1749 0.0662  4 O 1.96-2.19
Mg4 0.1491 0.8251 0.2358  5 O 2.00-2.17
Mg5 0.1506 0.8327 0.7363  4 O 1.97-2.15
Mg6 0.1523 0.4901 0.9060  4 O 1.94-2.12
Mg7 0.1549 0.1735 0.5697  5 O 2.00-2.22
Mg8 0.1568 0.1785 0.2685  3 O 1.93-2.11
Mg9 0.6341 0.6680 0.0678  5 O 2.01-2.24
Mg10 0.6438 0.3380 0.2325  4 O 1.98-2.11
Mg11 0.6445 0.9910 0.4066  4 O 1.95-2.15
Mg12 0.6447 0.6766 0.7693  3 O 1.94-2.11
Mg13 0.6533 0.9906 0.9045  4 O 1.96-2.18
Mg14 0.6592 0.3254 0.7330  5 O 1.98-2.21
Mg15 0.6686 0.6703 0.5661  4 O 1.97-2.15
Zr1 0.1361 0.4921 0.5997  3 O 1.93-2.08
Zr2 0.1421 0.8259 0.4405  5 O 2.00-2.19
Zr3 0.1529 0.8205 0.9401  4 O 1.98-2.14
Zr4 0.1691 0.4965 0.1047  4 O 1.98-2.12
Zr5 0.6426 0.9968 0.6027  6 O 2.02-2.23
Zr6 0.6441 0.3260 0.4405  5 O 2.00-2.22
Zr7 0.6482 0.6708 0.2674  4 O 1.98-2.12
Zr8 0.6547 0.3219 0.9411  5 O 2.00-2.22
Zr9 0.6571 0.9934 0.0999  4 O 1.95-2.16
Si1 0.9998 0.6396 0.5005  4 O 1.59-1.72
Si2 0.0011 0.3446 0.4969  4 O 1.60-1.69
Si3 0.2988 0.6404 0.9971  4 O 1.61-1.69
Si4 0.2996 0.3458 0.9992  4 O 1.61-1.68
Si5 0.3038 0.3150 0.6704  4 O 1.62-1.73
Si6 0.3500 0.3315 0.3330  4 O 1.62-1.68
Si7 0.4474 0.8326 0.8319  4 O 1.63-1.69
Si8 0.4896 0.8150 0.1662  4 O 1.59-1.71
Si9 0.4935 0.1398 0.4978  4 O 1.61-1.72
Si10 0.5007 0.8452 0.5007  4 O 1.62-1.66
Si11 0.5080 0.5170 0.1673  4 O 1.61-1.68
Si12 0.7998 0.8432 0.9990  4 O 1.60-1.71
Si13 0.8020 0.1412 0.9999  4 O 1.61-1.68
Si14 0.8068 0.8127 0.6706  4 O 1.63-1.68
Si15 0.8522 0.8338 0.3321  4 O 1.62-1.67
Si16 0.8543 0.1618 0.6690  4 O 1.62-1.68
Si17 0.9489 0.3336 0.8331  4 O 1.63-1.68
Si18 0.9954 0.3130 0.1702  4 O 1.63-1.68
S1 0.0005 0.6811 0.8318  4 O 1.48-1.51
S2 0.0065 0.0184 0.1697  4 O 1.47-1.54
S3 0.0059 0.9779 0.8352  4 O 1.48-1.50
S4 0.2914 0.0184 0.6706  4 O 1.46-1.53
S5 0.2937 0.9774 0.3325  4 O 1.48-1.49
S6 0.2958 0.6827 0.3348  4 O 1.46-1.52
S7 0.3539 0.9988 0.0008  4 O 1.46-1.52
S8 0.3576 0.6623 0.6695  4 O 1.48-1.51
S9 0.4386 0.1601 0.1699  4 O 1.46-1.52
S10 0.4450 0.4986 0.5014  4 O 1.46-1.52
S11 0.5008 0.1808 0.8335  4 O 1.48-1.51
S12 0.5063 0.4784 0.8327  4 O 1.48-1.50
S13 0.7914 0.5216 0.6704  4 O 1.46-1.53
S14 0.7969 0.4781 0.3346  4 O 1.48-1.50
S15 0.7978 0.1813 0.3328  4 O 1.47-1.51
S16 0.8568 0.4996 0.0002  4 O 1.47-1.53
S17 0.9427 0.6654 0.1672  4 O 1.47-1.51
S18 0.9443 0.9977 0.5003  4 O 1.46-1.50
O1 0.0211 0.2538 0.1118  1 Si 1.63
O2 0.0284 0.5870 0.1640  1 S 1.48
O3 0.0277 0.7368 0.8854  1 S 1.51
O4 0.0321 0.4031 0.5585  1 Si 1.69
O5 0.0341 0.9253 0.7820  1 S 1.48
O6 0.0350 0.9192 0.4971  1 S 1.50
O7 0.0374 0.7406 0.1745  1 S 1.48
O8 0.0380 0.0684 0.2240  1 S 1.48
O9 0.0383 0.0717 0.5078  1 S 1.46
O10 0.0460 0.2463 0.8342  1 Si 1.65
O11 0.0503 0.4193 0.8397  1 Si 1.65
O12 0.0597 0.5865 0.4459  1 Si 1.59
O13 0.0618 0.4112 0.1623  1 Si 1.68
O14 0.0621 0.7231 0.7790  1 S 1.48
O15 0.0622 0.9343 0.8895  1 S 1.50
O16 0.0635 0.9315 0.1731  1 S 1.48
O17 0.0667 0.0580 0.1160  1 S 1.47
O18 0.0669 0.2508 0.5048  1 Si 1.62
O19 0.0709 0.5982 0.8382  1 S 1.48
O20 0.0761 0.6043 0.5640  1 Si 1.69
O21 0.0755 0.7385 0.4983  1 Si 1.72
O22 0.0774 0.3882 0.4408  1 Si 1.60
O23 0.0786 0.2760 0.2289  1 Si 1.64
O24 0.0822 0.0604 0.8327  1 S 1.48
O25 0.2212 0.0613 0.3286  1 S 1.49
O26 0.2233 0.2779 0.7294  1 Si 1.63
O27 0.2227 0.5960 0.0549  1 Si 1.64
O28 0.2271 0.3875 0.9412  1 Si 1.61
O29 0.2266 0.4138 0.6638  1 Si 1.73
O30 0.2286 0.9316 0.6735  1 S 1.49
O31 0.2311 0.0604 0.6185  1 S 1.46
O32 0.2305 0.2532 0.0083  1 Si 1.61
O33 0.2323 0.7395 0.9984  1 Si 1.69
O34 0.2329 0.9341 0.3853  1 S 1.48
O35 0.2383 0.5963 0.3393  1 S 1.47
O36 0.2380 0.7258 0.2830  1 S 1.46
O37 0.2501 0.4178 0.3377  1 Si 1.65
O38 0.2537 0.2433 0.3346  1 Si 1.65
O39 0.2562 0.0699 0.0106  1 S 1.46
O40 0.2584 0.5910 0.9366  1 Si 1.61
O41 0.2597 0.5857 0.6660  1 S 1.51
O42 0.2628 0.9198 0.9971  1 S 1.51
O43 0.2639 0.7386 0.6738  1 S 1.49
O44 0.2672 0.0664 0.7263  1 S 1.48
O45 0.2666 0.9258 0.2786  1 S 1.48
O46 0.2700 0.4071 0.0588  1 Si 1.68
O47 0.2700 0.7342 0.3898  1 S 1.50
O48 0.2789 0.2593 0.6108  1 Si 1.62
O49 0.3160 0.8312 0.1759  1 Si 1.63
O50 0.3204 0.8380 0.4953  1 Si 1.66
O51 0.3214 0.1549 0.5058  1 Si 1.61
O52 0.3263 0.5080 0.1678  1 Si 1.67
O53 0.3341 0.8225 0.8904  1 Si 1.69
O54 0.3405 0.1693 0.8306  1 S 1.48
O55 0.3432 0.1675 0.1181  1 S 1.46
O56 0.3437 0.8444 0.7738  1 Si 1.63
O57 0.3452 0.4898 0.8363  1 S 1.49
O58 0.3466 0.4839 0.5546  1 S 1.52
O59 0.3528 0.1457 0.2250  1 S 1.49
O60 0.3578 0.5103 0.4473  1 S 1.47
O61 0.4431 0.0096 0.9474  1 S 1.46
O62 0.4484 0.6698 0.6156  1 S 1.48
O63 0.4489 0.6499 0.7232  1 S 1.48
O64 0.4500 0.9839 0.0546  1 S 1.52
O65 0.4550 0.9889 0.3372  1 S 1.49
O66 0.4566 0.0089 0.6659  1 S 1.53
O67 0.4567 0.3419 0.2760  1 Si 1.62
O68 0.4601 0.3223 0.3924  1 Si 1.68
O69 0.4612 0.6772 0.3321  1 S 1.52
O70 0.4753 0.6498 0.0028  1 Si 1.63
O71 0.4807 0.3302 0.6770  1 Si 1.65
O72 0.4811 0.3490 0.9956  1 Si 1.67
O73 0.5293 0.2368 0.8868  1 S 1.51
O74 0.5301 0.7646 0.1072  1 Si 1.59
O75 0.5332 0.9023 0.5612  1 Si 1.66
O76 0.5349 0.2353 0.1742  1 S 1.49
O77 0.5363 0.0833 0.1647  1 S 1.52
O78 0.5355 0.4207 0.4983  1 S 1.49
O79 0.5361 0.4254 0.7798  1 S 1.48
O80 0.5357 0.5731 0.5120  1 S 1.46
O81 0.5415 0.0914 0.4377  1 Si 1.61
O82 0.5443 0.5722 0.2294  1 Si 1.68
O83 0.5440 0.7448 0.8336  1 Si 1.65
O84 0.5487 0.9186 0.8382  1 Si 1.65
O85 0.5618 0.2219 0.7803  1 S 1.48
O86 0.5631 0.7492 0.5084  1 Si 1.64
O87 0.5661 0.4376 0.8872  1 S 1.49
O88 0.5717 0.4212 0.1715  1 Si 1.63
O89 0.5727 0.0978 0.8404  1 S 1.48
O90 0.5729 0.7710 0.2253  1 Si 1.69
O91 0.5736 0.9116 0.1666  1 Si 1.71
O92 0.5749 0.2374 0.4972  1 Si 1.72
O93 0.5764 0.0985 0.5564  1 Si 1.66
O94 0.5777 0.8860 0.4428  1 Si 1.62
O95 0.5787 0.5627 0.8282  1 S 1.50
O96 0.5822 0.5616 0.1108  1 Si 1.61
O97 0.7239 0.5625 0.3321  1 S 1.50
O98 0.7255 0.8882 0.9424  1 Si 1.61
O99 0.7286 0.0970 0.3385  1 S 1.49
O100 0.7289 0.5632 0.6183  1 S 1.46
O101 0.7290 0.7738 0.7298  1 Si 1.63
O102 0.7295 0.9078 0.6633  1 Si 1.68
O103 0.7301 0.0995 0.0618  1 Si 1.68
O104 0.7315 0.4344 0.3865  1 S 1.49
O105 0.7314 0.4351 0.6733  1 S 1.48
O106 0.7306 0.7517 0.0089  1 Si 1.60
O107 0.7348 0.2391 0.9993  1 Si 1.67
O108 0.7358 0.2232 0.2802  1 S 1.47
O109 0.7398 0.0791 0.6632  1 Si 1.68
O110 0.7438 0.7487 0.3320  1 Si 1.67
O111 0.7491 0.9188 0.3379  1 Si 1.66
O112 0.7511 0.2467 0.6729  1 Si 1.65
O113 0.7589 0.5722 0.0055  1 S 1.47
O114 0.7596 0.0860 0.9424  1 Si 1.61
O115 0.7608 0.4207 0.9964  1 S 1.53
O116 0.7660 0.5704 0.7255  1 S 1.48
O117 0.7680 0.4285 0.2799  1 S 1.48
O118 0.7704 0.9070 0.0593  1 Si 1.71
O119 0.7708 0.2349 0.3871  1 S 1.51
O120 0.7822 0.7534 0.6122  1 Si 1.63
O121 0.8167 0.3208 0.1773  1 Si 1.65
O122 0.8215 0.3378 0.4953  1 Si 1.65
O123 0.8264 0.6547 0.5053  1 Si 1.61
O124 0.8362 0.3233 0.8918  1 Si 1.68
O125 0.8392 0.0128 0.1667  1 S 1.54
O126 0.8396 0.6701 0.8292  1 S 1.49
O127 0.8446 0.3483 0.7757  1 Si 1.63
O128 0.8449 0.9896 0.8386  1 S 1.49
O129 0.8483 0.6786 0.1153  1 S 1.47
O130 0.8489 0.6551 0.2221  1 S 1.51
O131 0.8495 0.9829 0.5535  1 S 1.50
O132 0.8550 0.0076 0.4463  1 S 1.47
O133 0.9455 0.5067 0.9462  1 S 1.47
O134 0.9471 0.4854 0.0541  1 S 1.49
O135 0.9478 0.1400 0.7289  1 Si 1.64
O136 0.9539 0.8445 0.2735  1 Si 1.62
O137 0.9574 0.1710 0.6107  1 Si 1.62
O138 0.9570 0.4872 0.3399  1 S 1.48
O139 0.9579 0.5148 0.6654  1 S 1.53
O140 0.9591 0.1700 0.3294  1 S 1.49
O141 0.9588 0.8250 0.3914  1 Si 1.66
O142 0.9790 0.1473 0.0057  1 Si 1.63
O143 0.9808 0.8485 0.9962  1 Si 1.66
O144 0.9860 0.8266 0.6762  1 Si 1.66

| no. | final energy (eV/cell) |
| --- | --- |
| 1 | -28.1 |
| 2 | -28.9 |
| 3 | -269.1 |
| 4 | -19.6 |
| 5 | -121.8 |
| 6 | -91.2 |
| 7 | -1590.0 |